# Tm2B6Rh GGA-PBE relaxed
# Energy relative to the elements ... -0.673 eV per atom
# Energy ... -6.939 eV per atom
data_Tm2B6Rh
_cell_length_a 9.117
_cell_length_b 11.437
_cell_length_c 3.622
_cell_angle_alpha 90.00
_cell_angle_beta 90.00
_cell_angle_gamma 90.00
_symmetry_space_group_name_H-M 'P b a m'
_symmetry_Int_Tables_number 55
loop_
_symmetry_equiv_pos_as_xyz
'x,y,z'
'-x,-y,-z'
'-x,-y,z'
'x,y,-z'
'x+1/2,-y+1/2,-z'
'-x+1/2,y+1/2,z'
'-x+1/2,y+1/2,-z'
'x+1/2,-y+1/2,z'
loop_
_atom_site_label
_atom_site_fract_x
_atom_site_fract_y
_atom_site_fract_z
Tm1 0.055 0.126 0.000
Tm2 0.178 0.413 0.000
B1 0.017 0.288 0.500
B2 0.053 0.566 0.500
B3 0.110 0.970 0.500
B4 0.134 0.816 0.500
B5 0.205 0.235 0.500
B6 0.249 0.079 0.500
Rh1 0.140 0.679 0.000